A | The following is a DFT calculation (PBE+U) of an optimized crystal structure of MgFe3OF7.

## Properties
Symmetry = R3m

a = 5.985 Å, b = 5.985 Å, c = 5.985 Å
α = 63.28°, β = 63.28°, γ = 63.28°
Fractional coordinates of all 12 atoms:
Mg (0.000, 0.000, 0.000)
Fe (0.368, 0.368, 0.867)
Fe (0.368, 0.867, 0.368)
Fe (0.867, 0.368, 0.368)
O (0.137, 0.137, 0.137)
F (0.117, 0.117, 0.617)
F (0.117, 0.617, 0.117)
F (0.159, 0.619, 0.619)
F (0.613, 0.613, 0.613)
F (0.617, 0.117, 0.117)
F (0.619, 0.159, 0.619)
F (0.619, 0.619, 0.159)


B | The following is a DFT calculation (PBE+U) of an optimized crystal structure of MgFe3OF7.

## Properties
Symmetry = R3m

a = 5.834 Å, b = 5.834 Å, c = 5.834 Å
α = 66.78°, β = 66.78°, γ = 66.78°
Fractional coordinates of all 12 atoms:
Mg (0.000, 0.000, 0.000)
Fe (0.000, 0.482, 0.482)
Fe (0.482, 0.000, 0.482)
Fe (0.482, 0.482, 0.000)
O (0.264, 0.264, 0.264)
F (0.229, 0.229, 0.749)
F (0.229, 0.749, 0.229)
F (0.247, 0.761, 0.761)
F (0.722, 0.722, 0.722)
F (0.749, 0.229, 0.229)
F (0.761, 0.247, 0.761)
F (0.761, 0.761, 0.247)


Relative energy table, unit eV/atom: A 0.000; B 0.019


A | The following is a DFT calculation (PBE+U) of an optimized crystal structure of MgFe6O8F4.

## Properties
Symmetry = P1

a = 5.093 Å, b = 5.144 Å, c = 8.927 Å
α = 88.02°, β = 89.57°, γ = 78.57°
Fractional coordinates of all 19 atoms:
Mg (0.000, 0.000, 0.000)
Fe (0.076, 0.546, 0.823)
Fe (0.484, 0.970, 0.677)
Fe (0.501, 0.999, 0.004)
Fe (0.518, 0.027, 0.331)
Fe (0.929, 0.454, 0.176)
Fe (0.965, 0.460, 0.503)
O (0.185, 0.298, 0.000)
O (0.190, 0.301, 0.333)
O (0.222, 0.308, 0.665)
O (0.292, 0.830, 0.849)
O (0.709, 0.167, 0.154)
O (0.772, 0.683, 0.336)
O (0.806, 0.690, 0.668)
O (0.817, 0.701, 0.001)
F (0.299, 0.846, 0.164)
F (0.332, 0.845, 0.501)
F (0.698, 0.151, 0.838)
F (0.703, 0.182, 0.499)


B | The following is a DFT calculation (PBE+U) of an optimized crystal structure of MgFe6O8F4.

## Properties
Symmetry = P1

a = 4.835 Å, b = 4.859 Å, c = 8.892 Å
α = 90.11°, β = 90.13°, γ = 92.01°
Fractional coordinates of all 19 atoms:
Mg (0.000, 0.000, 0.000)
Fe (0.012, 0.458, 0.206)
Fe (0.461, 0.981, 0.692)
Fe (0.474, 0.016, 0.356)
Fe (0.510, 0.066, 0.005)
Fe (0.940, 0.573, 0.511)
Fe (0.993, 0.507, 0.841)
O (0.171, 0.689, 0.685)
O (0.183, 0.704, 0.346)
O (0.266, 0.180, 0.851)
O (0.276, 0.164, 0.167)
O (0.655, 0.836, 0.526)
O (0.699, 0.853, 0.857)
O (0.765, 0.321, 0.353)
O (0.804, 0.350, 0.013)
F (0.221, 0.682, 0.010)
F (0.266, 0.184, 0.525)
F (0.725, 0.862, 0.163)
F (0.761, 0.328, 0.684)


Relative energy table, unit eV/atom: A 0.000; B 0.131


A | The following is a DFT calculation (PBE+U) of an optimized crystal structure of MgFe6O8F4.

## Properties
Symmetry = P1

a = 4.704 Å, b = 4.704 Å, c = 10.789 Å
α = 83.63°, β = 83.65°, γ = 88.26°
Fractional coordinates of all 19 atoms:
Mg (0.000, 0.000, 0.000)
Fe (0.154, 0.152, 0.670)
Fe (0.249, 0.248, 0.357)
Fe (0.370, 0.369, 0.092)
Fe (0.696, 0.694, 0.793)
Fe (0.705, 0.703, 0.522)
Fe (0.783, 0.782, 0.252)
O (0.090, 0.090, 0.186)
O (0.477, 0.474, 0.922)
O (0.488, 0.895, 0.666)
O (0.494, 0.492, 0.233)
O (0.546, 0.950, 0.382)
O (0.897, 0.486, 0.666)
O (0.952, 0.545, 0.381)
O (0.972, 0.970, 0.826)
F (0.001, 0.610, 0.076)
F (0.019, 0.017, 0.517)
F (0.403, 0.401, 0.525)
F (0.610, 0.999, 0.076)


B | The following is a DFT calculation (PBE+U) of an optimized crystal structure of MgFe6O8F4.

## Properties
Symmetry = P1

a = 5.187 Å, b = 5.202 Å, c = 8.785 Å
α = 87.82°, β = 87.51°, γ = 76.90°
Fractional coordinates of all 19 atoms:
Mg (0.000, 0.000, 0.000)
Fe (0.047, 0.626, 0.471)
Fe (0.434, 0.020, 0.630)
Fe (0.474, 0.057, 0.304)
Fe (0.484, 0.088, 0.975)
Fe (0.892, 0.486, 0.161)
Fe (0.933, 0.521, 0.802)
O (0.131, 0.337, 0.976)
O (0.173, 0.368, 0.306)
O (0.184, 0.370, 0.647)
O (0.280, 0.877, 0.470)
O (0.694, 0.213, 0.143)
O (0.773, 0.753, 0.645)
O (0.774, 0.745, 0.312)
O (0.778, 0.745, 0.975)
F (0.270, 0.880, 0.822)
F (0.286, 0.881, 0.144)
F (0.627, 0.203, 0.476)
F (0.723, 0.239, 0.814)


C | The following is a DFT calculation (PBE+U) of an optimized crystal structure of MgFe6O8F4.

## Properties
Symmetry = P1

a = 4.718 Å, b = 4.735 Å, c = 9.129 Å
α = 90.03°, β = 90.04°, γ = 90.95°
Fractional coordinates of all 19 atoms:
Mg (0.000, 0.000, 0.000)
Fe (0.000, 0.498, 0.320)
Fe (0.000, 0.500, 0.999)
Fe (0.500, 0.000, 0.500)
Fe (0.500, 0.000, 0.804)
Fe (0.500, 0.999, 0.196)
Fe (0.999, 0.500, 0.678)
O (0.163, 0.276, 0.846)
O (0.164, 0.275, 0.153)
O (0.306, 0.779, 0.337)
O (0.307, 0.782, 0.662)
O (0.692, 0.218, 0.662)
O (0.694, 0.220, 0.337)
O (0.836, 0.724, 0.153)
O (0.836, 0.724, 0.846)
F (0.177, 0.300, 0.500)
F (0.344, 0.782, 0.000)
F (0.656, 0.217, 0.000)
F (0.822, 0.700, 0.500)


D | The following is a DFT calculation (PBE+U) of an optimized crystal structure of MgFe6O8F4.

## Properties
Symmetry = P1

a = 5.147 Å, b = 5.156 Å, c = 8.822 Å
α = 90.85°, β = 90.51°, γ = 98.61°
Fractional coordinates of all 19 atoms:
Mg (0.000, 0.000, 0.000)
Fe (0.367, 0.059, 0.486)
Fe (0.499, 0.878, 0.816)
Fe (0.503, 0.870, 0.195)
Fe (0.916, 0.403, 0.672)
Fe (0.934, 0.470, 0.340)
Fe (0.955, 0.503, 0.993)
O (0.082, 0.277, 0.847)
O (0.091, 0.268, 0.498)
O (0.255, 0.756, 0.346)
O (0.283, 0.783, 0.001)
O (0.590, 0.145, 0.670)
O (0.612, 0.179, 0.323)
O (0.789, 0.691, 0.840)
O (0.804, 0.689, 0.161)
F (0.099, 0.280, 0.160)
F (0.237, 0.736, 0.666)
F (0.658, 0.145, 0.006)
F (0.768, 0.624, 0.512)


Relative energy table, unit eV/atom: A 0.062; B 0.026; C 0.089; D 0.000


A | The following is a DFT calculation (PBE+U) of an optimized crystal structure of MgFe6O8F4.

## Properties
Symmetry = P2

a = 4.871 Å, b = 9.099 Å, c = 4.878 Å
α = 90.00°, β = 90.11°, γ = 90.00°
Fractional coordinates of all 19 atoms:
Mg (0.000, 0.000, 0.000)
Fe (0.000, 0.074, 0.500)
Fe (0.000, 0.436, 0.500)
Fe (0.000, 0.737, 0.500)
Fe (0.500, 0.262, 0.000)
Fe (0.500, 0.566, 0.000)
Fe (0.500, 0.920, 0.000)
O (0.193, 0.913, 0.702)
O (0.200, 0.586, 0.700)
O (0.301, 0.081, 0.195)
O (0.307, 0.413, 0.196)
O (0.693, 0.413, 0.804)
O (0.699, 0.081, 0.805)
O (0.800, 0.586, 0.300)
O (0.807, 0.913, 0.298)
F (0.185, 0.243, 0.695)
F (0.307, 0.748, 0.186)
F (0.693, 0.748, 0.814)
F (0.815, 0.243, 0.305)


B | The following is a DFT calculation (PBE+U) of an optimized crystal structure of MgFe6O8F4.

## Properties
Symmetry = P1

a = 5.228 Å, b = 5.239 Å, c = 9.035 Å
α = 88.50°, β = 87.70°, γ = 74.92°
Fractional coordinates of all 19 atoms:
Mg (0.000, 0.000, 0.000)
Fe (0.270, 0.266, 0.630)
Fe (0.314, 0.302, 0.321)
Fe (0.363, 0.358, 0.990)
Fe (0.730, 0.712, 0.178)
Fe (0.753, 0.753, 0.801)
Fe (0.884, 0.876, 0.480)
O (0.007, 0.607, 0.319)
O (0.012, 0.621, 0.985)
O (0.016, 0.610, 0.652)
O (0.122, 0.113, 0.477)
O (0.500, 0.488, 0.154)
O (0.613, 0.009, 0.650)
O (0.622, 0.998, 0.315)
O (0.624, 0.009, 0.979)
F (0.152, 0.151, 0.835)
F (0.160, 0.153, 0.144)
F (0.462, 0.453, 0.484)
F (0.518, 0.514, 0.820)


Relative energy table, unit eV/atom: A 0.032; B 0.000


A | The following is a DFT calculation (PBE+U) of an optimized crystal structure of MgFe6O7F5.

## Properties
Symmetry = P1

a = 5.776 Å, b = 5.981 Å, c = 7.761 Å
α = 106.86°, β = 97.45°, γ = 113.53°
Fractional coordinates of all 19 atoms:
Mg (0.000, 0.000, 0.000)
Fe (0.301, 0.530, 0.343)
Fe (0.352, 0.899, 0.777)
Fe (0.621, 0.048, 0.195)
Fe (0.685, 0.509, 0.646)
Fe (0.962, 0.055, 0.521)
Fe (0.979, 0.475, 0.968)
O (0.013, 0.171, 0.283)
O (0.262, 0.847, 0.010)
O (0.414, 0.635, 0.612)
O (0.583, 0.833, 0.335)
O (0.709, 0.127, 0.963)
O (0.913, 0.357, 0.703)
O (0.983, 0.854, 0.706)
F (0.035, 0.632, 0.255)
F (0.252, 0.364, 0.040)
F (0.384, 0.159, 0.638)
F (0.576, 0.350, 0.360)
F (0.724, 0.631, 0.938)


B | The following is a DFT calculation (PBE+U) of an optimized crystal structure of MgFe6O7F5.

## Properties
Symmetry = P1

a = 5.184 Å, b = 5.985 Å, c = 7.869 Å
α = 77.94°, β = 85.09°, γ = 82.82°
Fractional coordinates of all 19 atoms:
Mg (0.000, 0.000, 0.000)
Fe (0.011, 0.487, 0.977)
Fe (0.500, 0.927, 0.952)
Fe (0.551, 0.739, 0.319)
Fe (0.554, 0.371, 0.700)
Fe (0.906, 0.213, 0.350)
Fe (0.937, 0.826, 0.637)
O (0.284, 0.900, 0.173)
O (0.288, 0.238, 0.872)
O (0.670, 0.425, 0.448)
O (0.752, 0.923, 0.430)
O (0.764, 0.577, 0.776)
O (0.767, 0.061, 0.781)
O (0.768, 0.746, 0.098)
F (0.154, 0.088, 0.526)
F (0.167, 0.392, 0.215)
F (0.222, 0.778, 0.859)
F (0.266, 0.636, 0.563)
F (0.778, 0.224, 0.113)


C | The following is a DFT calculation (PBE+U) of an optimized crystal structure of MgFe6O7F5.

## Properties
Symmetry = P1

a = 5.176 Å, b = 5.227 Å, c = 8.876 Å
α = 87.58°, β = 87.83°, γ = 77.97°
Fractional coordinates of all 19 atoms:
Mg (0.000, 0.000, 0.000)
Fe (0.036, 0.650, 0.482)
Fe (0.432, 0.038, 0.627)
Fe (0.480, 0.092, 0.972)
Fe (0.499, 0.029, 0.302)
Fe (0.880, 0.492, 0.146)
Fe (0.925, 0.522, 0.799)
O (0.126, 0.337, 0.977)
O (0.179, 0.379, 0.639)
O (0.283, 0.884, 0.467)
O (0.696, 0.208, 0.141)
O (0.767, 0.772, 0.644)
O (0.772, 0.751, 0.974)
O (0.792, 0.726, 0.311)
F (0.189, 0.360, 0.298)
F (0.261, 0.895, 0.817)
F (0.286, 0.881, 0.146)
F (0.631, 0.206, 0.465)
F (0.705, 0.249, 0.805)


D | The following is a DFT calculation (PBE+U) of an optimized crystal structure of MgFe6O7F5.

## Properties
Symmetry = P1

a = 4.951 Å, b = 5.816 Å, c = 7.805 Å
α = 82.16°, β = 87.07°, γ = 84.22°
Fractional coordinates of all 19 atoms:
Mg (0.000, 0.000, 0.000)
Fe (0.020, 0.200, 0.355)
Fe (0.023, 0.802, 0.625)
Fe (0.032, 0.491, 0.002)
Fe (0.479, 0.661, 0.294)
Fe (0.493, 0.016, 0.999)
Fe (0.548, 0.334, 0.688)
O (0.202, 0.206, 0.117)
O (0.218, 0.536, 0.763)
O (0.228, 0.877, 0.419)
O (0.270, 0.722, 0.085)
O (0.742, 0.273, 0.898)
O (0.799, 0.465, 0.228)
O (0.808, 0.113, 0.566)
F (0.273, 0.045, 0.774)
F (0.313, 0.384, 0.440)
F (0.718, 0.614, 0.558)
F (0.736, 0.936, 0.212)
F (0.800, 0.790, 0.883)


Relative energy table, unit eV/atom: A 0.000; B 0.046; C 0.022; D 0.068